# Sr12Fe8O27 | Materials Project | GGA+U | optimized geometry
# E_form in meV/atom: -2434
# Crystal system: triclinic
# E_tot in eV for the cell shown: -299.416
# Total energy after the MP2020 corrections in eV per atom: -7.15
data_Sr12Fe8O27
_chemical_formula_sum 'Sr12 Fe8 O27'
_symmetry_space_group_name_H-M 'P -1'
_symmetry_Int_Tables_number 2
_cell_length_a 7.835
_cell_length_b 8.760
_cell_length_c 10.563
_cell_angle_alpha 94.76
_cell_angle_beta 100.69
_cell_angle_gamma 116.55
loop_
_symmetry_equiv_pos_as_xyz
'x,y,z'
'-x,-y,-z'
loop_
_atom_site_label
_atom_site_type_symbol
_atom_site_fract_x
_atom_site_fract_y
_atom_site_fract_z
Sr1 Sr 0.011 0.342 0.366
Sr2 Sr 0.129 0.742 0.000
Sr3 Sr 0.241 0.161 0.637
Sr4 Sr 0.263 0.840 0.366
Sr5 Sr 0.388 0.258 0.000
Sr6 Sr 0.485 0.656 0.634
Fe1 Fe 0.079 0.053 0.210
Fe2 Fe 0.176 0.449 0.806
Fe3 Fe 0.321 0.546 0.194
Fe4 Fe 0.428 0.952 0.808
O1 O 0.053 0.196 0.820
O2 O 0.072 0.548 0.191
O3 O 0.100 0.398 0.613
O4 O 0.152 0.100 0.398
O5 O 0.172 0.955 0.820
O6 O 0.188 0.286 0.180
O7 O 0.252 0.503 0.000
O8 O 0.304 0.704 0.809
O9 O 0.308 0.045 0.180
O10 O 0.357 0.903 0.616
O11 O 0.390 0.590 0.387
O12 O 0.429 0.453 0.809
O13 O 0.447 0.799 0.191
O14 O 0.500 0.000 0.000

# Sr16Fe16O41 | Materials Project | GGA+U | optimized geometry
# E_form in meV/atom: -2246
# Crystal system: triclinic
# Magnetic moment in Bohr magnetons per cell: 77.7
# E_tot in eV for the cell shown: -465.079
# Total energy after the MP2020 corrections in eV per atom: -7.25
data_Sr16Fe16O41
_chemical_formula_sum 'Sr16 Fe16 O41'
_symmetry_space_group_name_H-M 'P -1'
_symmetry_Int_Tables_number 2
_cell_length_a 5.620
_cell_length_b 5.620
_cell_length_c 36.775
_cell_angle_alpha 86.06
_cell_angle_beta 86.04
_cell_angle_gamma 60.21
loop_
_symmetry_equiv_pos_as_xyz
'x,y,z'
'-x,-y,-z'
loop_
_atom_site_label
_atom_site_type_symbol
_atom_site_fract_x
_atom_site_fract_y
_atom_site_fract_z
Sr1 Sr 0.000 0.000 0.000
Sr2 Sr 0.062 0.063 0.809
Sr3 Sr 0.124 0.125 0.628
Sr4 Sr 0.187 0.190 0.437
Sr5 Sr 0.255 0.244 0.253
Sr6 Sr 0.312 0.312 0.063
Sr7 Sr 0.378 0.374 0.874
Sr8 Sr 0.431 0.443 0.691
Sr9 Sr 0.500 0.500 0.500
Fe1 Fe 0.058 0.019 0.903
Fe2 Fe 0.099 0.088 0.719
Fe3 Fe 0.169 0.128 0.534
Fe4 Fe 0.200 0.254 0.341
Fe5 Fe 0.308 0.269 0.154
Fe6 Fe 0.316 0.356 0.971
Fe7 Fe 0.441 0.388 0.778
Fe8 Fe 0.457 0.495 0.592
O1 O 0.000 0.000 0.500
O2 O 0.000 0.500 0.000
O3 O 0.049 0.561 0.310
O4 O 0.077 0.032 0.319
O5 O 0.127 0.128 0.124
O6 O 0.127 0.624 0.125
O7 O 0.129 0.611 0.624
O8 O 0.186 0.188 0.937
O9 O 0.187 0.688 0.938
O10 O 0.188 0.685 0.438
O11 O 0.219 0.265 0.756
O12 O 0.232 0.747 0.752
O13 O 0.252 0.763 0.253
O14 O 0.314 0.314 0.561
O15 O 0.315 0.810 0.562
O16 O 0.374 0.378 0.375
O17 O 0.378 0.873 0.875
O18 O 0.424 0.941 0.187
O19 O 0.435 0.439 0.188
O20 O 0.440 0.955 0.686
O21 O 0.500 0.000 0.000
O22 O 0.500 0.000 0.500
O23 O 0.500 0.500 0.000